# 1
Density functional theory data (PBE) for a geometry-optimized Zn3B7ClO13 structure.

a = 8.6331 Å, b = 8.6331 Å, c = 21.2426 Å
α = 90.00°, β = 90.00°, γ = 120.00°
Space group R3c (No. 161, hexagonal axes)
Inequivalent atoms, fractional coordinates:
Zn1 0.0425 0.5207 0.0000 (multiplicity 18)
B1 0.0000 0.0000 0.1100 (multiplicity 6)
B2 0.0046 0.5017 0.2565 (multiplicity 18)
B3 0.1018 0.2042 0.4780 (multiplicity 18)
Cl1 0.0000 0.0000 0.2766 (multiplicity 6)
O1 0.0000 0.0000 0.4948 (multiplicity 6)
O2 0.0009 0.1600 0.6126 (multiplicity 18)
O3 0.0226 0.2229 0.9192 (multiplicity 18)
O4 0.0269 0.4395 0.6948 (multiplicity 18)
O5 0.0708 0.3765 0.1364 (multiplicity 18)

Crystal system = trigonal
M_tot = 0.0 μB per formula unit



# 2
Density functional theory data (PBE) for a geometry-optimized B2PCl2 structure.

a = 24.834 Å, b = 6.510 Å, c = 13.271 Å
α = 90.00°, β = 90.00°, γ = 90.00°
Space group Pbcn (No. 60)
Inequivalent atoms, fractional coordinates:
B1 0.091 0.110 0.142 (multiplicity 8)
B2 0.102 0.095 0.726 (multiplicity 8)
B3 0.146 0.114 0.219 (multiplicity 8)
B4 0.156 0.083 0.089 (multiplicity 8)
P1 0.106 0.163 0.576 (multiplicity 8)
P2 0.178 0.158 0.677 (multiplicity 8)
Cl1 0.038 0.278 0.118 (multiplicity 8)
Cl2 0.066 0.213 0.822 (multiplicity 8)
Cl3 0.172 0.289 0.307 (multiplicity 8)
Cl4 0.194 0.214 0.997 (multiplicity 8)

Crystal system = orthorhombic
M_tot = 0.0 μB per formula unit



# 3
Density functional theory data (PBE) for a geometry-optimized Pr2B3Cl structure.

a = 3.5843 Å, b = 3.5843 Å, c = 17.8068 Å
α = 90.00°, β = 90.00°, γ = 120.00°
Space group P6_3/mmc (No. 194)
Inequivalent atoms, fractional coordinates:
Pr1 0.3333 0.6667 0.1290 (multiplicity 4)
B1 0.1664 0.3328 0.7500 (multiplicity 6)
Cl1 0.0000 0.0000 0.0000 (multiplicity 2)

Crystal system = hexagonal
M_tot = 0.0 μB per formula unit



# 4
Density functional theory data (PBE) for a geometry-optimized Pr8B7Cl7 structure.

a = 7.794 Å, b = 9.226 Å, c = 14.393 Å
α = 91.56°, β = 97.81°, γ = 114.98°
Space group P-1 (No. 2)
Inequivalent atoms, fractional coordinates:
Pr1 0.018 0.161 0.300 (multiplicity 2)
Pr2 0.101 0.719 0.466 (multiplicity 2)
Pr3 0.212 0.580 0.246 (multiplicity 2)
Pr4 0.221 0.728 0.924 (multiplicity 2)
Pr5 0.261 0.420 0.754 (multiplicity 2)
Pr6 0.288 0.284 0.084 (multiplicity 2)
Pr7 0.406 0.296 0.532 (multiplicity 2)
Pr8 0.457 0.839 0.700 (multiplicity 2)
B1 0.072 0.578 0.632 (multiplicity 2)
B2 0.135 0.644 0.751 (multiplicity 2)
B3 0.174 0.461 0.433 (multiplicity 2)
B4 0.246 0.538 0.567 (multiplicity 2)
B5 0.325 0.423 0.375 (multiplicity 2)
B6 0.377 0.369 0.269 (multiplicity 2)
B7 0.465 0.577 0.625 (multiplicity 2)
Cl1 0.000 0.000 0.500 (multiplicity 1)
Cl2 0.047 0.369 0.932 (multiplicity 2)
Cl3 0.079 0.968 0.896 (multiplicity 2)
Cl4 0.137 0.880 0.289 (multiplicity 2)
Cl5 0.370 0.134 0.708 (multiplicity 2)
Cl6 0.411 0.030 0.103 (multiplicity 2)
Cl7 0.467 0.638 0.070 (multiplicity 2)
Cl8 0.500 0.000 0.500 (multiplicity 1)

Crystal system = triclinic



# 5
Density functional theory data (PBE) for a geometry-optimized RbZr6BCl15 structure.

a = 18.977 Å, b = 14.277 Å, c = 9.972 Å
α = 90.00°, β = 90.00°, γ = 90.00°
Space group Pmma (No. 51)
Inequivalent atoms, fractional coordinates:
Rb1 0.250 0.247 0.169 (multiplicity 4)
Zr1 0.029 0.117 0.841 (multiplicity 8)
Zr2 0.114 0.000 0.083 (multiplicity 4)
Zr3 0.162 0.383 0.658 (multiplicity 8)
Zr4 0.250 0.500 0.424 (multiplicity 2)
Zr5 0.250 0.500 0.889 (multiplicity 2)
B1 0.000 0.000 0.000 (multiplicity 2)
B2 0.250 0.500 0.656 (multiplicity 2)
Cl1 0.000 0.251 0.000 (multiplicity 4)
Cl2 0.060 0.500 0.658 (multiplicity 4)
Cl3 0.063 0.249 0.661 (multiplicity 8)
Cl4 0.066 0.000 0.660 (multiplicity 4)
Cl5 0.095 0.127 0.261 (multiplicity 8)
Cl6 0.154 0.374 0.400 (multiplicity 8)
Cl7 0.155 0.375 0.915 (multiplicity 8)
Cl8 0.158 0.124 0.919 (multiplicity 8)
Cl9 0.250 0.000 0.183 (multiplicity 2)
Cl10 0.250 0.247 0.650 (multiplicity 4)
Cl11 0.250 0.500 0.157 (multiplicity 2)

Crystal system = orthorhombic
M_tot = 0.0 μB per formula unit



# 6
Density functional theory data (PBE) for a geometry-optimized Sc7BCl12 structure.

a = 13.1854 Å, b = 13.1854 Å, c = 8.9550 Å
α = 90.00°, β = 90.00°, γ = 120.00°
Space group R-3 (No. 148, hexagonal axes)
Inequivalent atoms, fractional coordinates:
Sc1 0.0000 0.0000 0.0000 (multiplicity 3)
Sc2 0.0445 0.1631 0.3519 (multiplicity 18)
B1 0.0000 0.0000 0.5000 (multiplicity 3)
Cl1 0.0247 0.5862 0.1613 (multiplicity 18)
Cl2 0.0492 0.1768 0.8343 (multiplicity 18)

Crystal system = trigonal



# 7
Density functional theory data (PBE) for a geometry-optimized BSe2Cl structure.

a = 6.447 Å, b = 6.447 Å, c = 6.447 Å
α = 90.00°, β = 90.00°, γ = 90.00°
Space group Fm-3m (No. 225)
Inequivalent atoms, fractional coordinates:
B1 0.000 0.000 0.000 (multiplicity 4)
Se1 0.250 0.250 0.250 (multiplicity 8)
Cl1 0.000 0.000 0.500 (multiplicity 4)

Crystal system = cubic
M_tot = 0.0 μB per formula unit



# 8
Density functional theory data (PBE) for a geometry-optimized Tb3BCl3 structure.

a = 10.975 Å, b = 10.975 Å, c = 10.975 Å
α = 90.00°, β = 90.00°, γ = 90.00°
Space group I4_132 (No. 214)
Inequivalent atoms, fractional coordinates:
Tb1 0.110 0.360 0.125 (multiplicity 24)
B1 0.125 0.125 0.125 (multiplicity 8)
Cl1 0.120 0.130 0.625 (multiplicity 24)

Crystal system = cubic



# 9
Density functional theory data (PBE) for a geometry-optimized TlBCl2 structure.

a = 7.158 Å, b = 7.158 Å, c = 7.158 Å
α = 90.00°, β = 90.00°, γ = 90.00°
Space group F-43m (No. 216)
Inequivalent atoms, fractional coordinates:
Tl1 0.000 0.000 0.000 (multiplicity 4)
B1 0.250 0.250 0.250 (multiplicity 4)
Cl1 0.000 0.000 0.500 (multiplicity 4)
Cl2 0.250 0.250 0.750 (multiplicity 4)

Crystal system = cubic
M_tot = 0.0 μB per formula unit



# 10
Density functional theory data (PBE) for a geometry-optimized Co5B16 structure.

a = 19.052 Å, b = 2.924 Å, c = 5.465 Å
α = 90.00°, β = 90.00°, γ = 90.00°
Space group Pmma (No. 51)
Inequivalent atoms, fractional coordinates:
Co1 0.000 0.000 0.000 (multiplicity 2)
Co2 0.153 0.000 0.429 (multiplicity 4)
Co3 0.183 0.500 0.049 (multiplicity 4)
B1 0.009 0.500 0.709 (multiplicity 4)
B2 0.068 0.000 0.694 (multiplicity 4)
B3 0.070 0.500 0.494 (multiplicity 4)
B4 0.077 0.500 0.179 (multiplicity 4)
B5 0.105 0.000 0.017 (multiplicity 4)
B6 0.161 0.000 0.789 (multiplicity 4)
B7 0.203 0.500 0.670 (multiplicity 4)
B8 0.250 0.000 0.220 (multiplicity 2)
B9 0.250 0.500 0.393 (multiplicity 2)

Crystal system = orthorhombic
M_tot = 0.0 μB per formula unit



| no. | energy of formation from the pure elements (meV/atom) | V (Å³/f.u.) | total energy (eV/f.u.) |
| --- | --- | --- | --- |
| 1 | -2540 | 228.5 | -168.730 |
| 2 | -724 | 134.1 | -24.859 |
| 3 | -659 | 99.1 | -34.786 |
| 4 | -1417 | 462.7 | -124.812 |
| 5 | -2181 | 675.4 | -127.616 |
| 6 | -2208 | 449.4 | -109.975 |
| 7 | 1205 | 67.0 | -10.084 |
| 8 | -1771 | 165.2 | -36.684 |
| 9 | 419 | 91.7 | -9.837 |
| 10 | -162 | 152.2 | -145.806 |